# 1
! TaBi4ClO8 | Materials Project | GGA-PBE | optimized geometry; values from VASP
! DFT total energy	-6.538	eV per atom
! energy of formation from the pure elements	-194.2	kJ per mole of atoms
! polymorph energy (0 for the lowest one)	0.070	eV per atom
&SYSTEM
  ibrav = 0, nat = 14, ntyp = 4
/
ATOMIC_SPECIES
Ta 180.95 Ta.upf
Bi 208.98 Bi.upf
Cl 35.45 Cl.upf
O 16.00 O.upf
ATOMIC_POSITIONS angstrom
Ta 0.000 0.000 0.000
Bi 0.000 0.000 5.155
Bi 0.000 0.000 9.163
Bi 1.954 1.954 2.623
Bi 1.954 1.954 11.695
Cl 1.954 1.954 7.159
O 0.000 0.000 2.025
O 0.000 0.000 12.293
O 0.000 1.954 0.000
O 0.000 1.954 4.061
O 0.000 1.954 10.256
O 1.954 0.000 0.000
O 1.954 0.000 4.061
O 1.954 0.000 10.256
CELL_PARAMETERS angstrom
3.907 0.000 0.000
0.000 3.907 0.000
0.000 0.000 14.317



# 2
! Nd6Fe13Ge | Materials Project | GGA-PBE | optimized geometry; values from VASP
! DFT total energy	-7.253	eV per atom
! energy of formation from the pure elements	-8.3	kJ per mole of atoms
&SYSTEM
  ibrav = 0, nat = 40, ntyp = 3
/
ATOMIC_SPECIES
Nd 144.24 Nd.upf
Fe 55.84 Fe.upf
Ge 72.64 Ge.upf
ATOMIC_POSITIONS angstrom
Nd 2.680 -1.331 4.358
Nd 0.000 0.000 2.503
Nd 5.342 -1.331 7.189
Nd 5.342 1.331 4.358
Nd 0.000 0.000 9.044
Nd 2.680 1.331 7.189
Nd 1.331 2.680 4.358
Nd 0.000 0.000 14.049
Nd -1.331 2.680 7.189
Nd -1.331 5.342 4.358
Nd 0.000 0.000 20.591
Nd 1.331 5.342 7.189
Fe 4.011 0.000 0.000
Fe 3.101 0.910 -2.201
Fe 1.676 0.522 0.000
Fe 5.449 1.438 -1.394
Fe 3.101 0.910 2.201
Fe 3.489 -2.334 11.547
Fe 5.449 1.438 1.394
Fe 1.438 2.572 -1.394
Fe 3.489 2.334 0.000
Fe 3.101 -0.910 9.345
Fe 1.438 2.572 1.394
Fe 1.676 -0.522 11.547
Fe 3.101 -0.910 13.748
Fe 0.000 4.011 0.000
Fe 0.910 4.920 -2.201
Fe 2.334 4.533 0.000
Fe 2.572 1.438 10.153
Fe 0.910 4.920 2.201
Fe 0.522 1.676 11.547
Fe 2.572 1.438 12.940
Fe -1.438 2.572 10.153
Fe 0.522 6.345 0.000
Fe 0.910 3.101 9.345
Fe -1.438 2.572 12.940
Fe 2.334 3.489 11.547
Fe 0.910 3.101 13.748
Ge 0.000 0.000 5.773
Ge 0.000 0.000 17.320
CELL_PARAMETERS angstrom
-4.011 4.011 11.547
4.011 -4.011 11.547
4.011 4.011 -11.547



# 3
! K2LiP3HO9 | Materials Project | GGA-PBE | optimized geometry; values from VASP
! DFT total energy	-6.243	eV per atom
! energy of formation from the pure elements	-227.8	kJ per mole of atoms
&SYSTEM
  ibrav = 0, nat = 64, ntyp = 5
/
ATOMIC_SPECIES
K 39.10 K.upf
Li 6.94 Li.upf
P 30.97 P.upf
H 1.01 H.upf
O 16.00 O.upf
ATOMIC_POSITIONS angstrom
K -0.079 1.392 2.522
K -0.722 5.957 6.377
K 2.231 10.458 3.462
K 1.587 11.586 7.317
K 5.849 3.110 0.394
K 5.206 4.238 4.249
K 8.158 8.740 1.333
K 7.515 13.305 5.189
Li 3.075 1.796 2.685
Li 2.432 5.553 6.540
Li 5.004 9.144 1.170
Li 4.361 12.901 5.026
P -0.916 2.291 6.057
P -0.273 5.057 2.202
P 0.986 0.635 7.576
P 1.629 6.713 3.720
P 1.964 2.627 5.604
P 2.607 4.721 1.749
P 4.829 9.975 5.962
P 5.473 12.069 2.106
P 5.807 7.983 3.990
P 6.450 14.062 0.135
P 7.709 9.639 5.509
P 8.352 12.405 1.653
H 2.889 8.645 0.538
H 2.245 13.400 4.393
H 5.191 1.297 3.317
H 4.548 6.051 7.173
O -0.743 8.676 6.614
O -0.100 13.369 2.759
O -0.400 1.503 7.398
O 0.243 5.846 3.542
O 0.022 10.642 5.095
O 0.665 11.403 1.240
O 0.441 3.184 5.720
O 1.084 4.165 1.864
O 1.568 7.977 2.930
O 0.925 14.068 6.786
O 2.535 0.608 1.340
O 1.892 6.740 5.195
O 2.143 1.854 4.333
O 2.786 5.494 0.478
O 2.075 1.667 6.907
O 2.718 5.682 3.051
O 3.537 3.564 2.016
O 2.894 3.784 5.871
O 4.542 10.912 1.839
O 3.899 11.132 5.695
O 4.718 9.015 4.659
O 5.362 13.030 0.804
O 4.650 9.203 7.233
O 5.293 12.842 3.378
O 5.545 7.956 2.516
O 4.901 14.088 6.371
O 6.511 0.628 0.925
O 5.868 6.720 4.780
O 6.352 10.532 5.846
O 6.995 11.513 1.991
O 6.771 3.294 6.471
O 7.415 4.055 2.615
O 7.193 8.851 4.168
O 7.836 13.194 0.313
O 7.536 1.328 4.952
O 8.180 6.020 1.097
CELL_PARAMETERS angstrom
8.723 0.000 0.000
0.000 14.696 0.000
-1.286 0.000 7.711